Density functional theory data (PBE) for a geometry-optimized EuHg structure.

Properties
**DFT formation energy**: -1.108 eV/f.u.

Cell and atoms, written as POSCAR:
```
EuHg
1.0
-2.5502 0.8810 2.8221
-1.1289 -3.7347 0.1457
2.7324 -0.7209 2.6941
Hg Eu
1 1
direct
0.5000 0.5000 0.5000 Hg
0.0000 0.0000 0.0000 Eu
```

---

Density functional theory data (PBE) for a geometry-optimized Tl3Sb8O24 structure.

Properties
**DFT formation energy**: -54.121 eV/f.u.

Cell and atoms, written as POSCAR:
```
Tl3Sb8O24
1.0
-1.7100 -4.6959 -5.4260
4.5462 -0.7027 -5.7772
6.8618 -10.5360 2.0841
O Sb Tl
24 8 3
direct
0.7895 0.8899 0.5334 O
0.0888 0.5885 0.8306 O
0.2173 0.7152 0.4608 O
0.4077 0.9173 0.6618 O
0.7133 0.2134 0.9689 O
0.1191 0.2028 0.9773 O
0.3929 0.2872 0.5329 O
0.7019 0.6199 0.9781 O
0.8928 0.7798 0.0413 O
0.5791 0.0793 0.3364 O
0.0877 0.9840 0.8388 O
0.9321 0.0153 0.1617 O
0.2124 0.1098 0.4645 O
0.2837 0.7836 0.0352 O
0.2799 0.3928 0.0412 O
0.9092 0.4085 0.1605 O
0.5154 0.4316 0.1617 O
0.9835 0.0940 0.3364 O
0.5951 0.4818 0.3366 O
0.4143 0.5163 0.6609 O
0.4859 0.5867 0.8385 O
0.0173 0.9179 0.6611 O
0.6099 0.7121 0.4627 O
0.7882 0.2859 0.5345 O
0.0040 0.5045 0.9875 Sb
0.0029 0.9971 0.5001 Sb
0.5007 0.4985 0.9993 Sb
0.9984 0.0004 0.9994 Sb
0.7366 0.2360 0.2538 Sb
0.5000 0.5011 0.5003 Sb
0.2524 0.7499 0.7491 Sb
0.5006 0.9966 0.5003 Sb
0.9730 0.3798 0.6751 Tl
0.2351 0.1053 0.1702 Tl
0.6054 0.7340 0.1707 Tl
```

---

Density functional theory data (PBE) for a geometry-optimized UGe2Pd2 structure.

Properties
**DFT formation energy**: -2.279 eV/f.u.

Cell and atoms, written as POSCAR:
```
UGe2Pd2
1.0
-2.0862 2.0862 5.2992
2.0862 -2.0862 5.2992
2.0862 2.0862 -5.2992
Ge U Pd
2 1 2
direct
0.3855 0.3855 0.0000 Ge
0.6145 0.6145 0.0000 Ge
0.0000 0.0000 0.0000 U
0.2500 0.7500 0.5000 Pd
0.7500 0.2500 0.5000 Pd
```

---

Density functional theory data (PBE) for a geometry-optimized AlNi6Pd structure.

Properties
**DFT formation energy**: -1.478 eV/f.u.

Cell and atoms, written as POSCAR:
```
AlNi6Pd
1.0
-0.4184 -3.4813 0.7870
2.8285 -0.8067 -2.0646
4.3811 0.7631 5.7041
Pd Ni Al
1 6 1
direct
0.0000 0.0000 0.5000 Pd
0.5000 0.0000 0.2399 Ni
0.0000 0.5000 0.7601 Ni
0.5000 0.5000 0.0000 Ni
0.0000 0.5000 0.2399 Ni
0.5000 0.5000 0.5000 Ni
0.5000 0.0000 0.7601 Ni
0.0000 0.0000 0.0000 Al
```

---

Density functional theory data (PBE) for a geometry-optimized ZnCu7C4O20 structure.

Properties
**DFT formation energy**: -35.445 eV/f.u.

Cell and atoms, written as POSCAR:
```
ZnCu7C4O20
1.0
0.0467 -0.0060 3.1061
8.9163 0.0075 -1.1227
-0.0034 12.3307 -0.0128
O Cu Zn C
20 7 1 4
direct
0.5214 0.1568 0.7252 O
0.3205 0.1306 0.1338 O
0.6458 0.8354 0.4547 O
0.1098 0.3879 0.8423 O
0.9344 0.8692 0.1032 O
0.3506 0.6645 0.9432 O
0.8984 0.1108 0.3449 O
0.3126 0.6326 0.3726 O
0.1061 0.8890 0.6562 O
0.8809 0.6073 0.1604 O
0.0718 0.1353 0.9005 O
0.9277 0.3658 0.4024 O
0.6786 0.8701 0.8648 O
0.6722 0.3705 0.6311 O
0.4743 0.3437 0.2285 O
0.5335 0.6567 0.7685 O
0.4821 0.8450 0.2782 O
0.6420 0.3353 0.0522 O
0.0737 0.6340 0.5970 O
0.3594 0.1643 0.5490 O
0.0801 0.0030 0.7799 Cu
0.4095 0.2319 0.3869 Cu
0.9246 0.9970 0.2218 Cu
0.5959 0.2681 0.8870 Cu
0.0872 0.4995 0.7163 Cu
0.5937 0.7671 0.6126 Cu
0.9131 0.4995 0.2850 Cu
0.4009 0.7269 0.1027 Zn
0.4778 0.2705 0.1348 C
0.5197 0.2299 0.6319 C
0.4790 0.7719 0.3707 C
0.5229 0.7302 0.8619 C
```

---

Density functional theory data (PBE) for a geometry-optimized MgTi3Zn2O8 structure.

Properties
**Offset from the most stable computed form**: 283 kJ/mol of formula units
**DFT formation energy**: -37.722 eV/f.u.

Cell and atoms, written as POSCAR:
```
MgTi3Zn2O8
1.0
6.4703 -0.3345 -0.2365
2.9455 5.1017 0.0000
2.9455 1.7006 4.8099
O Ti Mg Zn
8 3 1 2
direct
0.4257 0.8584 0.3580 O
0.8243 0.8920 0.3916 O
0.4257 0.3580 0.3580 O
0.4142 0.8619 0.8619 O
0.8243 0.8920 0.8920 O
0.8243 0.3916 0.8920 O
0.4257 0.3580 0.8584 O
0.8358 0.3881 0.3881 O
0.6250 0.6250 0.1250 Ti
0.6250 0.1250 0.6250 Ti
0.6250 0.6250 0.6250 Ti
0.6250 0.1250 0.1250 Mg
0.0675 0.9775 0.9775 Zn
0.1825 0.2725 0.2725 Zn
```

---

Density functional theory data (PBE) for a geometry-optimized LaGdCl2O2 structure.

Properties
**DFT formation energy**: -19.963 eV/f.u.

Cell and atoms, written as POSCAR:
```
LaGdCl2O2
1.0
4.0459 0.0000 0.0000
0.0000 4.0459 0.0000
0.0000 0.0000 6.9177
O Cl La Gd
2 2 1 1
direct
0.5000 0.0000 0.9940 O
0.0000 0.5000 0.9940 O
0.0000 0.0000 0.6321 Cl
0.5000 0.5000 0.3710 Cl
0.0000 0.0000 0.1747 La
0.5000 0.5000 0.8326 Gd
```

---

Density functional theory data (PBE) for a geometry-optimized Cd3P2 structure.

Properties
**Offset from the most stable computed form**: 7 kJ/mol of formula units
**DFT formation energy**: -0.151 eV/f.u.

Cell and atoms, written as POSCAR:
```
Cd3P2
1.0
8.5327 -6.6680 0.4898
3.4399 10.2798 0.0492
-6.4148 -1.7048 8.5705
Cd P
24 16
direct
0.0265 0.0440 0.2763 Cd
0.7498 0.0175 0.4735 Cd
0.4735 0.7498 0.0175 Cd
0.7763 0.7323 0.2498 Cd
0.9825 0.5265 0.2502 Cd
0.0440 0.2763 0.0265 Cd
0.4825 0.2323 0.4560 Cd
0.0175 0.4735 0.7498 Cd
0.5440 0.5175 0.7677 Cd
0.4560 0.4825 0.2323 Cd
0.5265 0.2502 0.9825 Cd
0.2498 0.7763 0.7323 Cd
0.9735 0.9560 0.7237 Cd
0.2323 0.4560 0.4825 Cd
0.5175 0.7677 0.5440 Cd
0.2237 0.2677 0.7502 Cd
0.2763 0.0265 0.0440 Cd
0.7323 0.2498 0.7763 Cd
0.7677 0.5440 0.5175 Cd
0.2502 0.9825 0.5265 Cd
0.9560 0.7237 0.9735 Cd
0.7237 0.9735 0.9560 Cd
0.2677 0.7502 0.2237 Cd
0.7502 0.2237 0.2677 Cd
0.5158 0.7500 0.2658 P
0.5000 0.0000 0.0000 P
0.4842 0.2500 0.7342 P
0.7658 0.0158 0.7500 P
0.7342 0.4842 0.2500 P
0.7500 0.7658 0.0158 P
0.7500 0.2658 0.5158 P
0.2500 0.7342 0.4842 P
0.5000 0.5000 0.5000 P
0.2500 0.2342 0.9842 P
0.2658 0.5158 0.7500 P
0.0000 0.5000 0.0000 P
0.2342 0.9842 0.2500 P
0.9842 0.2500 0.2342 P
0.0000 0.0000 0.5000 P
0.0158 0.7500 0.7658 P
```